Record 1
Computed, not measured: crystalline FePO4 at its relaxed geometry at the GGA+U level of DFT.

a b c (Å): 9.3313 5.3388 11.9882
angles (deg): 90.00 90.26 90.00
Closest atoms and distances in Å follow each position.
Space group C2 (No. 5)
Symmetry-distinct sites (fractional):
Fe (0.0000, 0.0000, 0.0000) (multiplicity 2)  4 O 1.89-1.91
Fe (0.2504, 0.2468, 0.6649) (multiplicity 4)  4 O 1.87-1.88
P (0.0000, 0.9962, 0.5000) (multiplicity 2)  4 O 1.54
P (0.2484, 0.7476, 0.8309) (multiplicity 4)  4 O 1.53-1.55
O (0.0932, 0.8249, 0.4265) (multiplicity 4)  1 P 1.54
O (0.0936, 0.1679, 0.5736) (multiplicity 4)  1 P 1.54
O (0.1173, 0.1892, 0.0976) (multiplicity 4)  1 P 1.55
O (0.1183, 0.8070, 0.9033) (multiplicity 4)  1 P 1.53
O (0.2088, 0.4712, 0.2436) (multiplicity 4)  1 P 1.54
O (0.2097, 0.5207, 0.7569) (multiplicity 4)  1 P 1.54

M_tot   29.98 Bohr magnetons per cell

---

Record 2
Computed, not measured: crystalline Fe2P4PbO14 at its relaxed geometry at the GGA+U level of DFT.

a b c (Å): 4.8761 7.2044 8.0172
angles (deg): 89.48 87.38 73.31
Closest atoms and distances in Å follow each position.
Space group P-1 (No. 2)
Symmetry-distinct sites (fractional):
Fe (0.0000, 0.0000, 0.0000) (multiplicity 1)  6 O 1.97-2.14
Fe (0.5000, 0.5000, 0.5000) (multiplicity 1)  6 O 1.98-2.10
P (0.0293, 0.3817, 0.7468) (multiplicity 2)  4 O 1.51-1.60
P (0.3847, 0.2290, 0.2034) (multiplicity 2)  4 O 1.51-1.62
Pb (0.0000, 0.0000, 0.5000) (multiplicity 1)  6 O 2.52-2.81
O (0.0852, 0.2003, 0.8520) (multiplicity 2)  1 P 1.51
O (0.1220, 0.6488, 0.4133) (multiplicity 2)  1 P 1.56
O (0.1859, 0.0958, 0.2069) (multiplicity 2)  1 P 1.55
O (0.1939, 0.4441, 0.1516) (multiplicity 2)  2 P 1.60-1.62
O (0.3026, 0.4364, 0.7042) (multiplicity 2)  1 P 1.52
O (0.3759, 0.8216, 0.9291) (multiplicity 2)  1 P 1.51
O (0.4859, 0.2425, 0.3835) (multiplicity 2)  1 P 1.56

---

Record 3
Computed, not measured: crystalline Fe2P4Pb3O17 at its relaxed geometry at the GGA+U level of DFT.

a b c (Å): 9.1699 9.1699 16.9683
angles (deg): 90.00 90.00 90.00
Closest atoms and distances in Å follow each position.
Space group P4_1 (No. 76)
Symmetry-distinct sites (fractional):
Fe (0.9998, 0.2612, 0.0000) (multiplicity 4)  6 O 2.00-2.06
Fe (0.2403, 0.4994, 0.2410) (multiplicity 4)  6 O 2.00-2.07
P (0.0075, 0.2279, 0.1988) (multiplicity 4)  4 O 1.55-1.57
P (0.0352, 0.2682, 0.8022) (multiplicity 4)  4 O 1.54-1.57
P (0.2306, 0.4659, 0.4385) (multiplicity 4)  4 O 1.54-1.57
P (0.2736, 0.4913, 0.0425) (multiplicity 4)  4 O 1.55-1.57
Pb (0.0777, 0.8468, 0.1375) (multiplicity 4)  5 O 2.46-2.54
Pb (0.1323, 0.6315, 0.8709) (multiplicity 4)  8 O 2.56-2.85
Pb (0.3374, 0.5768, 0.6027) (multiplicity 4)  4 O 2.45-2.58
O (0.0213, 0.7772, 0.3839) (multiplicity 4)  1 P 1.54
O (0.0469, 0.7193, 0.6172) (multiplicity 4)  1 P 1.55
O (0.0756, 0.3564, 0.2465) (multiplicity 4)  1 P 1.56
O (0.0775, 0.1281, 0.7549) (multiplicity 4)  1 P 1.56
O (0.0932, 0.6694, 0.2513) (multiplicity 4)  1 P 1.57
O (0.1007, 0.3645, 0.6321) (multiplicity 4)  1 Pb 2.54, 1 O 2.71
O (0.1039, 0.8791, 0.9388) (multiplicity 4)  1 P 1.55
O (0.1207, 0.3397, 0.4331) (multiplicity 4)  1 P 1.54
O (0.1222, 0.8239, 0.7519) (multiplicity 4)  1 P 1.57
O (0.1452, 0.4232, 0.9946) (multiplicity 4)  1 P 1.56
O (0.1633, 0.3763, 0.8082) (multiplicity 4)  1 P 1.54
O (0.1702, 0.5946, 0.4898) (multiplicity 4)  1 P 1.57
O (0.2185, 0.5458, 0.1238) (multiplicity 4)  1 P 1.55
O (0.2776, 0.5218, 0.3569) (multiplicity 4)  1 P 1.54
O (0.3243, 0.6214, 0.9891) (multiplicity 4)  1 P 1.57
O (0.3689, 0.4207, 0.4867) (multiplicity 4)  1 P 1.56
O (0.3804, 0.6008, 0.8037) (multiplicity 4)  1 P 1.55

M_tot   48.00 Bohr magnetons per cell

---

Record 4
Computed, not measured: crystalline PrFePO at its relaxed geometry at the GGA+U level of DFT.

a b c (Å): 3.9495 3.9495 8.8543
angles (deg): 90.00 90.00 90.00
Closest atoms and distances in Å follow each position.
Space group P4/nmm (No. 129, origin choice 2)
Symmetry-distinct sites (fractional):
Pr (0.2500, 0.2500, 0.1416) (multiplicity 2)  4 O 2.34
Fe (0.2500, 0.7500, 0.5000) (multiplicity 2)  4 P 2.40
P (0.2500, 0.2500, 0.6531) (multiplicity 2)  4 Fe 2.40
O (0.2500, 0.7500, 0.0000) (multiplicity 2)  4 Pr 2.34

M_tot   7.50 Bohr magnetons per cell

---

Record 5
Computed, not measured: crystalline Rb2Fe2P3O12 at its relaxed geometry at the GGA+U level of DFT.

a b c (Å): 10.0997 10.0997 10.0997
angles (deg): 90.00 90.00 90.00
Closest atoms and distances in Å follow each position.
Space group P2_13 (No. 198)
Symmetry-distinct sites (fractional):
Rb (0.0410, 0.0410, 0.0410) (multiplicity 4)  9 O 2.94-3.19
Rb (0.1834, 0.3166, 0.6834) (multiplicity 4)  9 O 2.96-3.10
Fe (0.1048, 0.8952, 0.3952) (multiplicity 4)  6 O 2.02-2.04
Fe (0.1616, 0.6616, 0.8384) (multiplicity 4)  6 O 2.01-2.03
P (0.0253, 0.2089, 0.3753) (multiplicity 12)  4 O 1.54-1.55
O (0.0068, 0.5519, 0.7708) (multiplicity 12)  1 P 1.55
O (0.0171, 0.0622, 0.3301) (multiplicity 12)  1 P 1.55
O (0.0429, 0.7976, 0.2292) (multiplicity 12)  1 P 1.55
O (0.1014, 0.8294, 0.7495) (multiplicity 12)  1 P 1.54

M_tot   12.00 Bohr magnetons per cell

---

Record 6
Computed, not measured: crystalline Rb2ZrFeP3O12 at its relaxed geometry at the GGA+U level of DFT.

a b c (Å): 10.2545 10.2545 10.2545
angles (deg): 90.00 90.00 90.00
Closest atoms and distances in Å follow each position.
Space group P2_13 (No. 198)
Symmetry-distinct sites (fractional):
Rb (0.0706, 0.0706, 0.0706) (multiplicity 4)  9 O 2.94-3.13
Rb (0.2110, 0.7110, 0.7890) (multiplicity 4)  9 O 3.04-3.22
Zr (0.1427, 0.3573, 0.6427) (multiplicity 4)  6 O 2.09-2.11
Fe (0.0868, 0.9132, 0.4132) (multiplicity 4)  6 O 2.04-2.06
P (0.0385, 0.7249, 0.1320) (multiplicity 12)  4 O 1.53-1.57
O (0.0033, 0.0824, 0.3495) (multiplicity 12)  1 P 1.53
O (0.0208, 0.8032, 0.2588) (multiplicity 12)  1 P 1.54
O (0.0264, 0.9517, 0.7935) (multiplicity 12)  1 P 1.57
O (0.0828, 0.1821, 0.7321) (multiplicity 12)  1 P 1.56

M_tot   3.97 Bohr magnetons per cell

---

Record 7
Computed, not measured: crystalline Fe5SbP6O24 at its relaxed geometry at the GGA+U level of DFT.

a b c (Å): 8.6903 8.6903 20.8536
angles (deg): 90.00 90.00 120.00
Closest atoms and distances in Å follow each position.
Space group R3 (No. 146, hexagonal axes)
Symmetry-distinct sites (fractional):
Fe (0.0000, 0.0000, 0.0000) (multiplicity 3)  6 O 2.15-2.27
Fe (0.0000, 0.0000, 0.1387) (multiplicity 3)  6 O 1.95-2.09
Fe (0.0000, 0.0000, 0.3503) (multiplicity 3)  6 O 1.97-2.08
Fe (0.0000, 0.0000, 0.4938) (multiplicity 3)  6 O 2.18-2.20
Fe (0.0000, 0.0000, 0.6363) (multiplicity 3)  6 O 1.95-2.07
Sb (0.0000, 0.0000, 0.8519) (multiplicity 3)  6 O 1.96-2.03
P (0.0032, 0.7095, 0.2434) (multiplicity 9)  4 O 1.52-1.62
P (0.0400, 0.3698, 0.4095) (multiplicity 9)  4 O 1.51-1.58
O (0.0005, 0.1981, 0.8068) (multiplicity 9)  1 P 1.58
O (0.0000, 0.8018, 0.3047) (multiplicity 9)  1 P 1.52
O (0.0164, 0.8367, 0.9178) (multiplicity 9)  1 P 1.62
O (0.0185, 0.1834, 0.4185) (multiplicity 9)  1 P 1.55
O (0.1410, 0.6769, 0.8492) (multiplicity 9)  1 P 1.52
O (0.1470, 0.4688, 0.3511) (multiplicity 9)  1 P 1.51
O (0.1634, 0.6789, 0.2361) (multiplicity 9)  1 P 1.55
O (0.1655, 0.4796, 0.7380) (multiplicity 9)  1 P 1.55

M_tot   69.00 Bohr magnetons per cell

---

Record 8
Computed, not measured: crystalline Fe3SbP4O16 at its relaxed geometry at the GGA+U level of DFT.

a b c (Å): 4.9586 6.0952 10.1363
angles (deg): 90.00 91.35 90.00
Closest atoms and distances in Å follow each position.
Space group Pm (No. 6)
Symmetry-distinct sites (fractional):
Fe (0.0000, 0.0000, 0.0000) (multiplicity 1)  4 O 1.95-2.12
Fe (0.0679, 0.5000, 0.4510) (multiplicity 1)  4 O 2.00-2.22
Fe (0.5051, 0.5000, 0.9551) (multiplicity 1)  4 O 1.92-2.14
Sb (0.5745, 0.0000, 0.5082) (multiplicity 1)  6 O 2.12-2.19
P (0.1323, 0.0000, 0.3199) (multiplicity 1)  4 O 1.52-1.58
P (0.4427, 0.0000, 0.8328) (multiplicity 1)  4 O 1.53-1.57
P (0.6153, 0.5000, 0.6385) (multiplicity 1)  4 O 1.51-1.60
P (0.9595, 0.5000, 0.1250) (multiplicity 1)  4 O 1.51-1.59
O (0.1825, 0.0000, 0.1721) (multiplicity 1)  1 P 1.52
O (0.2633, 0.5000, 0.1009) (multiplicity 1)  1 P 1.53
O (0.2808, 0.1961, 0.3939) (multiplicity 2)  1 P 1.58
O (0.3078, 0.1979, 0.9058) (multiplicity 2)  1 P 1.57
O (0.3145, 0.5000, 0.6115) (multiplicity 1)  1 P 1.51
O (0.3524, 0.0000, 0.6855) (multiplicity 1)  1 P 1.55
O (0.6835, 0.5000, 0.7862) (multiplicity 1)  1 P 1.53
O (0.7507, 0.0000, 0.8482) (multiplicity 1)  1 P 1.53
O (0.7653, 0.3039, 0.5658) (multiplicity 2)  1 P 1.60
O (0.8146, 0.3016, 0.0497) (multiplicity 2)  1 P 1.59
O (0.8258, 0.0000, 0.3424) (multiplicity 1)  1 P 1.54
O (0.8972, 0.5000, 0.2703) (multiplicity 1)  1 P 1.51

M_tot   13.92 Bohr magnetons per cell

---

Listing raw total energy for the structures above in their given order: -7.093; -6.750; -6.713; -6.764; -6.548; -7.055; -7.042; -6.966 eV/atom.